Record 1
# LiMn3P3O12, optimized geometry, DFT GGA+U
# E above lowest polymorph: 0.007 eV/atom
# Density: 3.406 g cm⁻³
# Volume: 891 Å³ per cell
# Formation enthalpy at 0 K: -2.494 eV per atom
# Size of the total moment: 52.0 Bohr magnetons per cell
# Calculated total energy: -7.32 eV per atom
data_LiMn3P3O12
_chemical_formula_sum 'Li4 Mn12 P12 O48'
_symmetry_space_group_name_H-M 'P 1'
_symmetry_Int_Tables_number 1
_cell_length_a 8.602
_cell_length_b 9.040
_cell_length_c 12.597
_cell_angle_alpha 104.84
_cell_angle_beta 100.39
_cell_angle_gamma 103.43
loop_
_symmetry_equiv_pos_as_xyz
'x,y,z'
loop_
_atom_site_label
_atom_site_type_symbol
_atom_site_fract_x
_atom_site_fract_y
_atom_site_fract_z
Li1 Li 0.509 0.739 0.239
Li2 Li 0.987 0.128 0.117
Li3 Li 0.492 0.262 0.761
Li4 Li 0.501 0.000 0.502
P1 P 0.289 0.231 0.520
P2 P 0.131 0.236 0.888
P3 P 0.871 0.769 0.114
P4 P 0.866 0.260 0.609
P5 P 0.711 0.770 0.481
P6 P 0.651 0.615 0.749
P7 P 0.708 0.267 0.980
P8 P 0.345 0.380 0.250
P9 P 0.291 0.733 0.020
P10 P 0.134 0.740 0.392
P11 P 0.348 0.881 0.748
P12 P 0.653 0.119 0.250
O1 O 0.276 0.147 0.613
O2 O 0.268 0.398 0.567
O3 O 0.532 0.260 0.993
O4 O 0.272 0.315 0.846
O5 O 0.950 0.643 0.049
O6 O 0.325 0.198 0.201
O7 O 0.469 0.739 0.008
O8 O 0.993 0.109 0.787
O9 O 0.178 0.907 0.718
O10 O 0.741 0.101 0.939
O11 O 0.718 0.163 0.640
O12 O 0.957 0.141 0.550
O13 O 0.669 0.299 0.299
O14 O 0.731 0.601 0.432
O15 O 0.534 0.770 0.495
O16 O 0.181 0.153 0.977
O17 O 0.669 0.796 0.800
O18 O 0.465 0.229 0.502
O19 O 0.274 0.657 0.118
O20 O 0.823 0.592 0.781
O21 O 0.401 0.425 0.384
O22 O 0.012 0.896 0.213
O23 O 0.044 0.859 0.451
O24 O 0.166 0.391 0.210
O25 O 0.593 0.575 0.615
O26 O 0.833 0.364 0.098
O27 O 0.727 0.853 0.386
O28 O 0.170 0.634 0.903
O29 O 0.725 0.345 0.884
O30 O 0.997 0.383 0.715
O31 O 0.408 0.927 0.882
O32 O 0.522 0.507 0.787
O33 O 0.187 0.650 0.474
O34 O 0.003 0.618 0.285
O35 O 0.047 0.362 0.949
O36 O 0.819 0.868 0.035
O37 O 0.264 0.901 0.064
O38 O 0.477 0.986 0.707
O39 O 0.827 0.095 0.276
O40 O 0.531 0.013 0.294
O41 O 0.833 0.865 0.598
O42 O 0.283 0.836 0.362
O43 O 0.472 0.489 0.212
O44 O 0.167 0.134 0.402
O45 O 0.591 0.073 0.116
O46 O 0.811 0.348 0.526
O47 O 0.330 0.701 0.700
O48 O 0.730 0.687 0.156
Mn1 Mn 0.065 0.520 0.131
Mn2 Mn 0.935 0.986 0.370
Mn3 Mn 0.067 0.018 0.633
Mn4 Mn 0.733 0.507 0.240
Mn5 Mn 0.384 0.607 0.541
Mn6 Mn 0.265 0.495 0.762
Mn7 Mn 0.383 0.103 0.038
Mn8 Mn 0.613 0.891 0.957
Mn9 Mn 0.615 0.395 0.460
Mn10 Mn 0.932 0.482 0.867
Mn11 Mn 0.736 0.003 0.742
Mn12 Mn 0.273 0.991 0.259



Record 2
# LiMnPO5, optimized geometry, DFT GGA+U
# E above lowest polymorph: 0.049 eV/atom
# Density: 3.155 g cm⁻³
# Volume: 364 Å³ per cell
# Formation enthalpy at 0 K: -2.300 eV per atom
# Size of the total moment: 12.0 Bohr magnetons per cell
# Calculated total energy: -6.82 eV per atom
data_LiMnPO5
_chemical_formula_sum 'Li4 Mn4 P4 O20'
_symmetry_space_group_name_H-M 'P 1'
_symmetry_Int_Tables_number 1
_cell_length_a 7.593
_cell_length_b 6.120
_cell_length_c 7.830
_cell_angle_alpha 90.00
_cell_angle_beta 90.03
_cell_angle_gamma 90.08
loop_
_symmetry_equiv_pos_as_xyz
'x,y,z'
loop_
_atom_site_label
_atom_site_type_symbol
_atom_site_fract_x
_atom_site_fract_y
_atom_site_fract_z
P1 P 0.132 0.750 0.666
P2 P 0.368 0.250 0.166
P3 P 0.632 0.750 0.834
P4 P 0.868 0.250 0.334
O1 O 0.320 0.751 0.576
O2 O 0.609 0.750 0.410
O3 O 0.391 0.250 0.590
O4 O 0.126 0.959 0.780
O5 O 0.874 0.041 0.220
O6 O 0.680 0.249 0.424
O7 O 0.490 0.750 0.967
O8 O 0.011 0.250 0.467
O9 O 0.109 0.750 0.090
O10 O 0.891 0.250 0.910
O11 O 0.874 0.459 0.220
O12 O 0.989 0.750 0.533
O13 O 0.627 0.541 0.720
O14 O 0.373 0.459 0.280
O15 O 0.820 0.751 0.924
O16 O 0.627 0.959 0.720
O17 O 0.374 0.041 0.280
O18 O 0.510 0.250 0.033
O19 O 0.126 0.541 0.780
O20 O 0.180 0.249 0.076
Li1 Li 0.140 0.250 0.670
Li2 Li 0.860 0.750 0.330
Li3 Li 0.360 0.750 0.170
Li4 Li 0.640 0.250 0.830
Mn1 Mn 0.000 0.000 0.000
Mn2 Mn 0.500 0.500 0.500
Mn3 Mn 0.500 0.000 0.500
Mn4 Mn 0.000 0.500 0.000



Record 3
# LiMnPO4, optimized geometry, DFT GGA+U
# E above lowest polymorph: 0.075 eV/atom
# Density: 3.029 g cm⁻³
# Volume: 172 Å³ per cell
# Formation enthalpy at 0 K: -2.558 eV per atom
# Size of the total moment: 0.0 Bohr magnetons per cell
# Calculated total energy: -7.11 eV per atom
data_LiMnPO4
_chemical_formula_sum 'Li2 Mn2 P2 O8'
_symmetry_space_group_name_H-M 'P 1'
_symmetry_Int_Tables_number 1
_cell_length_a 5.023
_cell_length_b 8.387
_cell_length_c 5.023
_cell_angle_alpha 90.00
_cell_angle_beta 120.00
_cell_angle_gamma 107.42
loop_
_symmetry_equiv_pos_as_xyz
'x,y,z'
loop_
_atom_site_label
_atom_site_type_symbol
_atom_site_fract_x
_atom_site_fract_y
_atom_site_fract_z
O1 O 0.859 0.788 0.929
O2 O 0.719 0.527 0.566
O3 O 0.961 0.527 0.153
O4 O 0.374 0.527 0.808
O5 O 0.292 0.938 0.646
O6 O 0.777 0.199 0.767
O7 O 0.432 0.199 0.010
O8 O 0.189 0.199 0.423
P1 P 0.419 0.128 0.709
P2 P 0.732 0.598 0.866
Mn1 Mn 0.885 0.327 0.442
Mn2 Mn 0.266 0.400 0.133
Li1 Li 0.136 0.704 0.568
Li2 Li 0.015 0.023 0.008



Record 4
# LiMnP2O7, optimized geometry, DFT GGA+U
# E above lowest polymorph: 0.060 eV/atom
# Density: 3.061 g cm⁻³
# Volume: 256 Å³ per cell
# Formation enthalpy at 0 K: -2.506 eV per atom
# Size of the total moment: 8.0 Bohr magnetons per cell
# Calculated total energy: -7.06 eV per atom
data_LiMnP2O7
_chemical_formula_sum 'Li2 Mn2 P4 O14'
_symmetry_space_group_name_H-M 'P 1'
_symmetry_Int_Tables_number 1
_cell_length_a 6.218
_cell_length_b 7.287
_cell_length_c 6.297
_cell_angle_alpha 68.96
_cell_angle_beta 80.73
_cell_angle_gamma 74.43
loop_
_symmetry_equiv_pos_as_xyz
'x,y,z'
loop_
_atom_site_label
_atom_site_type_symbol
_atom_site_fract_x
_atom_site_fract_y
_atom_site_fract_z
O1 O 0.357 0.863 0.068
O2 O 0.271 0.535 0.374
O3 O 0.384 0.169 0.603
O4 O 0.729 0.465 0.626
O5 O 0.058 0.866 0.392
O6 O 0.625 0.329 0.247
O7 O 0.009 0.754 0.061
O8 O 0.942 0.134 0.608
O9 O 0.243 0.275 0.207
O10 O 0.991 0.246 0.939
O11 O 0.375 0.671 0.753
O12 O 0.757 0.725 0.793
O13 O 0.616 0.831 0.397
O14 O 0.643 0.137 0.933
P1 P 0.818 0.240 0.789
P2 P 0.390 0.307 0.365
P3 P 0.182 0.760 0.211
P4 P 0.610 0.693 0.635
Mn1 Mn 0.943 0.216 0.271
Mn2 Mn 0.057 0.784 0.729
Li1 Li 0.333 0.156 0.912
Li2 Li 0.667 0.844 0.088



Record 5
# LiMn2P3O12, optimized geometry, DFT GGA+U
# E above lowest polymorph: 0.030 eV/atom
# Density: 3.126 g cm⁻³
# Volume: 854 Å³ per cell
# Formation enthalpy at 0 K: -2.343 eV per atom
# Size of the total moment: 24.0 Bohr magnetons per cell
# Calculated total energy: -7.03 eV per atom
data_LiMn2P3O12
_chemical_formula_sum 'Li4 Mn8 P12 O48'
_symmetry_space_group_name_H-M 'P 1'
_symmetry_Int_Tables_number 1
_cell_length_a 8.490
_cell_length_b 8.501
_cell_length_c 11.827
_cell_angle_alpha 89.91
_cell_angle_beta 89.99
_cell_angle_gamma 89.96
loop_
_symmetry_equiv_pos_as_xyz
'x,y,z'
loop_
_atom_site_label
_atom_site_type_symbol
_atom_site_fract_x
_atom_site_fract_y
_atom_site_fract_z
Mn1 Mn 0.258 0.465 0.618
Mn2 Mn 0.252 0.965 0.879
Mn3 Mn 0.255 0.040 0.384
Mn4 Mn 0.751 0.536 0.379
Mn5 Mn 0.742 0.459 0.888
Mn6 Mn 0.250 0.532 0.117
Mn7 Mn 0.745 0.035 0.114
Mn8 Mn 0.749 0.967 0.617
O1 O 0.649 0.723 0.322
O2 O 0.656 0.933 0.475
O3 O 0.059 0.356 0.579
O4 O 0.427 0.903 0.338
O5 O 0.319 0.985 0.726
O6 O 0.818 0.985 0.774
O7 O 0.151 0.777 0.822
O8 O 0.558 0.144 0.079
O9 O 0.320 0.514 0.274
O10 O 0.150 0.842 0.420
O11 O 0.843 0.064 0.973
O12 O 0.925 0.595 0.839
O13 O 0.941 0.645 0.422
O14 O 0.172 0.482 0.771
O15 O 0.345 0.436 0.474
O16 O 0.428 0.597 0.663
O17 O 0.350 0.224 0.321
O18 O 0.441 0.641 0.079
O19 O 0.158 0.566 0.974
O20 O 0.648 0.658 0.920
O21 O 0.159 0.728 0.180
O22 O 0.659 0.773 0.680
O23 O 0.853 0.159 0.582
O24 O 0.647 0.842 0.080
O25 O 0.844 0.432 0.026
O26 O 0.157 0.934 0.025
O27 O 0.692 0.015 0.276
O28 O 0.172 0.018 0.230
O29 O 0.577 0.099 0.659
O30 O 0.075 0.404 0.160
O31 O 0.656 0.566 0.524
O32 O 0.555 0.355 0.921
O33 O 0.926 0.908 0.161
O34 O 0.057 0.144 0.421
O35 O 0.850 0.277 0.823
O36 O 0.077 0.099 0.840
O37 O 0.817 0.517 0.226
O38 O 0.351 0.156 0.920
O39 O 0.352 0.341 0.082
O40 O 0.853 0.343 0.418
O41 O 0.851 0.223 0.177
O42 O 0.346 0.068 0.526
O43 O 0.694 0.485 0.724
O44 O 0.941 0.858 0.578
O45 O 0.146 0.654 0.581
O46 O 0.578 0.399 0.340
O47 O 0.441 0.856 0.922
O48 O 0.350 0.277 0.679
Li1 Li 0.287 0.724 0.319
Li2 Li 0.939 0.416 0.711
Li3 Li 0.937 0.083 0.289
Li4 Li 0.788 0.774 0.819
P1 P 0.109 0.608 0.854
P2 P 0.608 0.604 0.645
P3 P 0.959 0.252 0.500
P4 P 0.399 0.391 0.355
P5 P 0.107 0.896 0.144
P6 P 0.396 0.108 0.647
P7 P 0.535 0.750 0.001
P8 P 0.895 0.395 0.147
P9 P 0.038 0.749 0.502
P10 P 0.898 0.106 0.854
P11 P 0.610 0.893 0.354
P12 P 0.458 0.248 0.000



Record 6
# LiMnP2O7, optimized geometry, DFT GGA+U
# E above lowest polymorph: 0.066 eV/atom
# Density: 2.969 g cm⁻³
# Volume: 528 Å³ per cell
# Formation enthalpy at 0 K: -2.500 eV per atom
# Size of the total moment: 16.0 Bohr magnetons per cell
# Calculated total energy: -7.05 eV per atom
data_LiMnP2O7
_chemical_formula_sum 'Li4 Mn4 P8 O28'
_symmetry_space_group_name_H-M 'P 1'
_symmetry_Int_Tables_number 1
_cell_length_a 11.408
_cell_length_b 6.658
_cell_length_c 7.949
_cell_angle_alpha 60.90
_cell_angle_beta 90.00
_cell_angle_gamma 90.00
loop_
_symmetry_equiv_pos_as_xyz
'x,y,z'
loop_
_atom_site_label
_atom_site_type_symbol
_atom_site_fract_x
_atom_site_fract_y
_atom_site_fract_z
P1 P 0.351 0.988 0.790
P2 P 0.149 0.988 0.290
P3 P 0.587 0.369 0.310
P4 P 0.087 0.631 0.190
P5 P 0.649 0.012 0.210
P6 P 0.413 0.631 0.690
P7 P 0.851 0.012 0.710
P8 P 0.913 0.369 0.810
Mn1 Mn 0.791 0.551 0.401
Mn2 Mn 0.209 0.449 0.599
Mn3 Mn 0.291 0.449 0.099
Mn4 Mn 0.709 0.551 0.901
O1 O 0.834 0.227 0.508
O2 O 0.116 0.891 0.143
O3 O 0.734 0.880 0.789
O4 O 0.687 0.518 0.164
O5 O 0.884 0.109 0.857
O6 O 0.617 0.392 0.486
O7 O 0.462 0.424 0.237
O8 O 0.166 0.773 0.492
O9 O 0.962 0.576 0.263
O10 O 0.384 0.891 0.643
O11 O 0.038 0.424 0.737
O12 O 0.234 0.120 0.711
O13 O 0.447 0.132 0.797
O14 O 0.538 0.576 0.763
O15 O 0.947 0.868 0.703
O16 O 0.766 0.880 0.289
O17 O 0.334 0.773 0.992
O18 O 0.616 0.109 0.357
O19 O 0.266 0.120 0.211
O20 O 0.053 0.132 0.297
O21 O 0.553 0.868 0.203
O22 O 0.813 0.518 0.664
O23 O 0.666 0.227 0.008
O24 O 0.383 0.608 0.514
O25 O 0.187 0.482 0.336
O26 O 0.313 0.482 0.836
O27 O 0.883 0.392 0.986
O28 O 0.117 0.608 0.014
Li1 Li 0.411 0.735 0.239
Li2 Li 0.089 0.735 0.739
Li3 Li 0.911 0.265 0.261
Li4 Li 0.589 0.265 0.761



Record 7
# Li6Mn3P8O29, optimized geometry, DFT GGA+U
# Density: 2.684 g cm⁻³
# Volume: 1136 Å³ per cell
# Formation enthalpy at 0 K: -2.508 eV per atom
# Size of the total moment: 18.0 Bohr magnetons per cell
# Calculated total energy: -6.87 eV per atom
data_Li6Mn3P8O29
_chemical_formula_sum 'Li12 Mn6 P16 O58'
_symmetry_space_group_name_H-M 'P 1'
_symmetry_Int_Tables_number 1
_cell_length_a 9.676
_cell_length_b 9.691
_cell_length_c 13.946
_cell_angle_alpha 89.61
_cell_angle_beta 89.59
_cell_angle_gamma 60.31
loop_
_symmetry_equiv_pos_as_xyz
'x,y,z'
loop_
_atom_site_label
_atom_site_type_symbol
_atom_site_fract_x
_atom_site_fract_y
_atom_site_fract_z
O1 O 0.232 0.985 0.065
O2 O 0.922 0.743 0.661
O3 O 0.743 0.923 0.158
O4 O 0.207 0.795 0.750
O5 O 0.482 0.894 0.168
O6 O 0.186 0.491 0.670
O7 O 0.625 0.487 0.172
O8 O 0.899 0.627 0.169
O9 O 0.994 0.205 0.922
O10 O 0.663 0.078 0.339
O11 O 0.657 0.666 0.477
O12 O 0.995 0.237 0.563
O13 O 0.508 0.814 0.833
O14 O 0.016 0.768 0.439
O15 O 0.802 0.991 0.760
O16 O 0.813 0.508 0.333
O17 O 0.491 0.323 0.668
O18 O 0.226 0.769 0.930
O19 O 0.380 0.522 0.827
O20 O 0.808 0.679 0.828
O21 O 0.328 0.489 0.169
O22 O 0.767 0.020 0.939
O23 O 0.257 0.664 0.339
O24 O 0.226 0.001 0.429
O25 O 0.679 0.807 0.325
O26 O 0.773 0.219 0.431
O27 O 0.493 0.184 0.168
O28 O 0.339 0.922 0.658
O29 O 0.079 0.661 0.840
O30 O 0.524 0.381 0.330
O31 O 0.231 0.773 0.569
O32 O 0.770 0.236 0.070
O33 O 0.904 0.478 0.671
O34 O 0.989 0.800 0.259
O35 O 0.663 0.259 0.838
O36 O 0.321 0.188 0.670
O37 O 0.207 0.999 0.247
O38 O 0.744 0.336 0.658
O39 O 0.343 0.335 0.024
O40 O 0.009 0.788 0.079
O41 O 0.525 0.094 0.832
O42 O 0.009 0.200 0.742
O43 O 0.381 0.097 0.327
O44 O 0.922 0.341 0.159
O45 O 0.675 0.509 0.833
O46 O 0.257 0.079 0.840
O47 O 0.088 0.379 0.832
O48 O 0.793 0.209 0.250
O49 O 0.079 0.255 0.340
O50 O 0.191 0.324 0.173
O51 O 0.791 0.006 0.580
O52 O 0.333 0.335 0.524
O53 O 0.479 0.621 0.672
O54 O 0.660 0.664 0.977
O55 O 0.620 0.913 0.670
O56 O 0.337 0.739 0.159
O57 O 0.091 0.526 0.332
O58 O 0.507 0.679 0.330
P1 P 0.914 0.779 0.161
P2 P 0.779 0.914 0.663
P3 P 0.335 0.332 0.131
P4 P 0.316 0.909 0.156
P5 P 0.085 0.222 0.839
P6 P 0.665 0.668 0.370
P7 P 0.226 0.682 0.840
P8 P 0.332 0.335 0.632
P9 P 0.912 0.318 0.656
P10 P 0.319 0.773 0.659
P11 P 0.228 0.088 0.339
P12 P 0.087 0.684 0.346
P13 P 0.666 0.667 0.869
P14 P 0.682 0.226 0.340
P15 P 0.685 0.089 0.846
P16 P 0.776 0.320 0.159
Li1 Li 0.237 0.659 0.058
Li2 Li 0.957 0.985 0.491
Li3 Li 0.328 0.907 0.937
Li4 Li 0.661 0.103 0.061
Li5 Li 0.674 0.669 0.112
Li6 Li 0.336 0.763 0.440
Li7 Li 0.765 0.329 0.938
Li8 Li 0.234 0.098 0.559
Li9 Li 0.662 0.236 0.561
Li10 Li 0.098 0.663 0.564
Li11 Li 0.999 0.997 0.997
Li12 Li 0.899 0.336 0.438
Mn1 Mn 0.567 0.998 0.251
Mn2 Mn 0.435 0.565 0.250
Mn3 Mn 0.565 0.436 0.749
Mn4 Mn 0.998 0.565 0.753
Mn5 Mn 0.437 0.001 0.751
Mn6 Mn 0.002 0.435 0.249